Here is In2GaN3 after structural relaxation from Materials Project. Energies are from GGA-PBE.

Values from the calculation:
V: 14.43 Å³ per atom
size of the total moment: 0.003 μB per cell

Cell: 5.572 11.219 11.075 Å, 90.00 90.00 90.00°
Space group Ccce (No. 68, origin choice 2)
One atom of each set of equivalent atoms:
In1 0.245 0.169 0.112
Ga1 0.250 0.000 0.348
N1 0.000 0.082 0.250
N2 0.124 0.140 0.924

Here is Cd2P3Br after structural relaxation from Materials Project. Energies are from GGA-PBE.

Values from the calculation:
V: 23.81 Å³ per atom

Cell: 8.221 9.225 7.652 Å, 90.00 100.09 90.00°
Space group C2/c (No. 15)
One atom of each set of equivalent atoms:
Cd1 0.246 0.148 0.279
P1 0.000 0.195 0.750
P2 0.113 0.046 0.960
Br1 0.000 0.374 0.250

Here is CdHg3 after structural relaxation from Materials Project. Energies are from GGA-PBE.

Values from the calculation:
ΔE to the lowest computed polymorph: 0.003 eV per atom
V: 27.84 Å³ per atom

Cell: 4.654 4.654 10.281 Å, 90.00 90.00 90.00°
Space group I4/mmm (No. 139)
One atom of each set of equivalent atoms:
Cd1 0.000 0.000 0.000
Hg1 0.000 0.000 0.500
Hg2 0.000 0.500 0.250

Here is Li3Tm after structural relaxation from Materials Project. Energies are from GGA-PBE.

Values from the calculation:
V: 22.76 Å³ per atom
size of the total moment: 0.032 μB per cell

Cell: 6.4746 6.4746 5.0154 Å, 90.00 90.00 120.00°
Space group P6_3/mmc (No. 194)
One atom of each set of equivalent atoms:
Li1 0.1540 0.3080 0.2500
Tm1 0.3333 0.6667 0.7500

Here is Sc3C4 after structural relaxation from Materials Project. Energies are from GGA-PBE.

Values from the calculation:
V: 12.18 Å³ per atom

Cell: 7.519 7.519 15.082 Å, 90.00 90.00 90.00°
Space group P4/mnc (No. 128)
One atom of each set of equivalent atoms:
Sc1 0.000 0.000 0.000
Sc2 0.000 0.000 0.312
Sc3 0.097 0.301 0.500
Sc4 0.100 0.713 0.143
C1 0.000 0.000 0.157
C2 0.000 0.000 0.457
C3 0.097 0.307 0.333
C4 0.107 0.697 0.000
C5 0.150 0.350 0.250

Here is Sc2CdSe4 after structural relaxation from Materials Project. Energies are from GGA-PBE.

Values from the calculation:
V: 26.27 Å³ per atom

Cell: 11.374 11.374 11.374 Å, 90.00 90.00 90.00°
Space group Fd-3m (No. 227, origin choice 2)
One atom of each set of equivalent atoms:
Sc1 0.000 0.000 0.000
Cd1 0.125 0.125 0.625
Se1 0.010 0.010 0.240

Number 1: formation energy from the elements 18 meV/atom, theoretical density 6549 kg/m³, electronic total energy -258.8 eV for the cell shown. Number 2: formation energy from the elements -393 meV/atom, theoretical density 4623 kg/m³, electronic total energy -86.2 eV for the cell shown. Number 3: formation energy from the elements 39 meV/atom, theoretical density 10649 kg/m³, electronic total energy -3.4 eV for the cell shown. Number 4: formation energy from the elements 213 meV/atom, theoretical density 3461 kg/m³, electronic total energy -18.7 eV for the cell shown. Number 5: formation energy from the elements -408 meV/atom, theoretical density 3562 kg/m³, electronic total energy -587.7 eV for the cell shown. Number 6: formation energy from the elements -1659 meV/atom, theoretical density 4678 kg/m³, electronic total energy -298.4 eV for the cell shown.